! MnCdSe4, optimized geometry, DFT PBE; values from VASP
! * ΔE_f: -0.613 eV per atom
! * calculated total energy: -4.310 eV/atom
&SYSTEM
  ibrav = 0, nat = 12, ntyp = 3
/
ATOMIC_SPECIES
Se 78.96 Se.upf
Cd 112.41 Cd.upf
Mn 54.94 Mn.upf
ATOMIC_POSITIONS angstrom
Se -4.029 -4.986 1.495
Se -2.961 -8.276 0.071
Se -1.968 -1.797 0.289
Se -2.207 -8.282 -3.755
Cd -1.234 -4.307 1.360
Mn 0.679 -3.623 -2.831
Cd -3.620 -2.148 -1.995
Mn 0.000 0.000 0.000
Se -3.217 -4.942 -2.123
Se -0.958 -5.137 -1.343
Se -1.214 -1.803 -3.537
Se -0.146 -5.093 -4.960
CELL_PARAMETERS angstrom
-1.706 -1.465 -6.186
3.065 -5.782 0.524
-5.534 -2.832 2.197

---

! MnCd3Te4, optimized geometry, DFT PBE; values from VASP
! * ΔE_f: -0.580 eV per atom
! * calculated total energy: -3.432 eV/atom
&SYSTEM
  ibrav = 0, nat = 8, ntyp = 3
/
ATOMIC_SPECIES
Te 127.60 Te.upf
Cd 112.41 Cd.upf
Mn 54.94 Mn.upf
ATOMIC_POSITIONS angstrom
Te 0.000 4.892 0.000
Cd 0.000 0.002 2.358
Te 2.322 1.682 2.409
Te 0.000 4.748 4.646
Mn 2.322 3.258 4.646
Te 2.322 1.682 6.883
Cd 0.000 0.002 6.934
Cd 2.322 3.234 0.000
CELL_PARAMETERS angstrom
4.643 0.000 0.000
0.000 6.500 0.000
0.000 0.000 9.292

---

! Mn3CdTe4, optimized geometry, DFT PBE; values from VASP
! * E above lowest polymorph: 69 meV per atom
! * ΔE_f: -0.295 eV per atom
! * calculated total energy: -5.207 eV/atom
&SYSTEM
  ibrav = 0, nat = 8, ntyp = 3
/
ATOMIC_SPECIES
Mn 54.94 Mn.upf
Te 127.60 Te.upf
Cd 112.41 Cd.upf
ATOMIC_POSITIONS angstrom
Mn 0.000 0.000 0.000
Te 0.821 -0.105 2.742
Cd 1.709 -0.218 5.710
Te 2.598 -0.332 8.677
Mn 2.221 -3.252 8.565
Te -0.345 -2.925 -0.008
Mn 0.507 -3.034 2.838
Te 1.364 -3.143 5.701
CELL_PARAMETERS angstrom
-3.146 -2.597 0.842
2.455 -3.253 -0.859
3.419 -0.437 11.419

---

! Mn3CdTe4, optimized geometry, DFT PBE; values from VASP
! * E above lowest polymorph: 0 meV per atom
! * ΔE_f: -0.363 eV per atom
! * calculated total energy: -5.275 eV/atom
&SYSTEM
  ibrav = 0, nat = 8, ntyp = 3
/
ATOMIC_SPECIES
Cd 112.41 Cd.upf
Te 127.60 Te.upf
Mn 54.94 Mn.upf
ATOMIC_POSITIONS angstrom
Cd 0.020 0.000 0.002
Te 35.938 0.000 3.202
Te 2.861 0.000 0.255
Te 24.878 0.000 2.217
Mn 33.179 0.000 2.956
Mn 22.109 0.000 1.970
Mn 11.007 0.000 0.981
Te 13.725 0.000 1.223
CELL_PARAMETERS angstrom
14.857 -2.284 0.000
14.857 2.284 0.000
14.506 0.000 3.940